1.
A plane-wave DFT calculation with PBE+U was carried out for an optimized crystal structure of Fe2O3.

ΔH_f (0 K) in eV per atom: -1.5912
Corrected total energy (MP2020 scheme) in eV per atom: -7.9480

Structure (CIF):
```
data_Fe2O3
_symmetry_space_group_name_H-M 'P n a 21'
_symmetry_Int_Tables_number 33
_cell_length_a 5.215
_cell_length_b 8.952
_cell_length_c 9.596
_cell_angle_alpha 90.00
_cell_angle_beta 90.00
_cell_angle_gamma 90.00
loop_
_symmetry_equiv_pos_as_xyz
'x,y,z'
'-x,-y,z+1/2'
'-x+1/2,y+1/2,z+1/2'
'x+1/2,-y+1/2,z'
loop_
_atom_site_label
_atom_site_type_symbol
_atom_site_fract_x
_atom_site_fract_y
_atom_site_fract_z
Fe1 Fe 0.176 0.032 0.214
Fe2 Fe 0.178 0.349 0.417
Fe3 Fe 0.188 0.660 0.227
Fe4 Fe 0.191 0.347 0.000
O1 O 0.018 0.823 0.347
O2 O 0.022 0.168 0.354
O3 O 0.025 0.488 0.851
O4 O 0.154 0.669 0.589
O5 O 0.159 0.000 0.621
O6 O 0.162 0.341 0.618
```


2.
A plane-wave DFT calculation with PBE+U was carried out for an optimized crystal structure of Li5Mn8B8O24.

ΔH_f (0 K) in eV per atom: -2.4423
Corrected total energy (MP2020 scheme) in eV per atom: -8.1095

Structure (CIF):
```
data_Li5Mn8B8O24
_symmetry_space_group_name_H-M 'P 1'
_symmetry_Int_Tables_number 1
_cell_length_a 5.322
_cell_length_b 9.106
_cell_length_c 10.422
_cell_angle_alpha 89.90
_cell_angle_beta 87.44
_cell_angle_gamma 89.84
loop_
_symmetry_equiv_pos_as_xyz
'x,y,z'
loop_
_atom_site_label
_atom_site_type_symbol
_atom_site_fract_x
_atom_site_fract_y
_atom_site_fract_z
Li1 Li 0.000 0.000 0.000
Li2 Li 0.011 0.971 0.502
Li3 Li 0.210 0.481 0.755
Li4 Li 0.230 0.490 0.247
Li5 Li 0.527 0.480 0.520
Mn1 Mn 0.020 0.330 0.038
Mn2 Mn 0.020 0.645 0.542
Mn3 Mn 0.202 0.138 0.282
Mn4 Mn 0.203 0.828 0.787
Mn5 Mn 0.514 0.791 0.033
Mn6 Mn 0.518 0.157 0.532
Mn7 Mn 0.698 0.311 0.795
Mn8 Mn 0.711 0.653 0.290
B1 B 0.037 0.310 0.538
B2 B 0.043 0.662 0.041
B3 B 0.199 0.167 0.787
B4 B 0.201 0.796 0.293
B5 B 0.524 0.822 0.542
B6 B 0.525 0.136 0.038
B7 B 0.697 0.643 0.790
B8 B 0.703 0.317 0.303
O1 O 0.089 0.037 0.817
O2 O 0.091 0.300 0.830
O3 O 0.092 0.665 0.339
O4 O 0.100 0.928 0.323
O5 O 0.146 0.177 0.495
O6 O 0.150 0.795 0.993
O7 O 0.178 0.434 0.556
O8 O 0.181 0.538 0.055
O9 O 0.268 0.819 0.586
O10 O 0.269 0.150 0.081
O11 O 0.424 0.779 0.218
O12 O 0.430 0.176 0.716
O13 O 0.560 0.521 0.767
O14 O 0.563 0.444 0.316
O15 O 0.582 0.768 0.847
O16 O 0.590 0.183 0.346
O17 O 0.635 0.689 0.501
O18 O 0.644 0.003 0.040
O19 O 0.653 0.261 0.994
O20 O 0.657 0.949 0.539
O21 O 0.778 0.314 0.567
O22 O 0.793 0.666 0.082
O23 O 0.948 0.317 0.250
O24 O 0.954 0.650 0.751
```


3.
A plane-wave DFT calculation with PBE+U was carried out for an optimized crystal structure of Li6Ni13O26.

ΔH_f (0 K) in eV per atom: -1.1413
Corrected total energy (MP2020 scheme) in eV per atom: -5.9244

Structure (CIF):
```
data_Li6Ni13O26
_symmetry_space_group_name_H-M 'P -1'
_symmetry_Int_Tables_number 2
_cell_length_a 4.895
_cell_length_b 9.861
_cell_length_c 9.925
_cell_angle_alpha 67.51
_cell_angle_beta 82.22
_cell_angle_gamma 85.22
loop_
_symmetry_equiv_pos_as_xyz
'x,y,z'
'-x,-y,-z'
loop_
_atom_site_label
_atom_site_type_symbol
_atom_site_fract_x
_atom_site_fract_y
_atom_site_fract_z
Li1 Li 0.040 0.076 0.347
Li2 Li 0.120 0.230 0.037
Li3 Li 0.198 0.391 0.716
Ni1 Ni 0.038 0.077 0.846
Ni2 Ni 0.115 0.232 0.539
Ni3 Ni 0.192 0.387 0.231
Ni4 Ni 0.268 0.543 0.924
Ni5 Ni 0.346 0.696 0.615
Ni6 Ni 0.423 0.848 0.307
Ni7 Ni 0.500 0.000 0.000
O1 O 0.027 0.555 0.100
O2 O 0.028 0.599 0.606
O3 O 0.092 0.751 0.295
O4 O 0.094 0.711 0.795
O5 O 0.170 0.905 0.988
O6 O 0.179 0.864 0.484
O7 O 0.245 0.059 0.679
O8 O 0.255 0.017 0.178
O9 O 0.327 0.215 0.371
O10 O 0.335 0.169 0.871
O11 O 0.404 0.370 0.063
O12 O 0.414 0.318 0.567
O13 O 0.493 0.526 0.749
```


4.
A plane-wave DFT calculation with PBE+U was carried out for an optimized crystal structure of Li9Mn2Co5O16.

ΔH_f (0 K) in eV per atom: -1.7793
Corrected total energy (MP2020 scheme) in eV per atom: -6.4735

Structure (CIF):
```
data_Li9Mn2Co5O16
_symmetry_space_group_name_H-M 'P 1 2/m 1'
_symmetry_Int_Tables_number 10
_cell_length_a 5.261
_cell_length_b 2.850
_cell_length_c 19.616
_cell_angle_alpha 90.00
_cell_angle_beta 96.67
_cell_angle_gamma 90.00
loop_
_symmetry_equiv_pos_as_xyz
'x,y,z'
'-x,-y,-z'
'-x,y,-z'
'x,-y,z'
loop_
_atom_site_label
_atom_site_type_symbol
_atom_site_fract_x
_atom_site_fract_y
_atom_site_fract_z
Li1 Li 0.000 0.000 0.000
Li2 Li 0.000 0.000 0.500
Li3 Li 0.240 0.500 0.123
Li4 Li 0.254 0.500 0.625
Li5 Li 0.497 0.000 0.249
Li6 Li 0.500 0.500 0.000
Mn1 Mn 0.252 0.000 0.374
Co1 Co 0.005 0.500 0.753
Co2 Co 0.293 0.000 0.884
Co3 Co 0.500 0.500 0.500
O1 O 0.118 0.000 0.696
O2 O 0.119 0.000 0.196
O3 O 0.135 0.500 0.930
O4 O 0.140 0.500 0.433
O5 O 0.354 0.500 0.820
O6 O 0.372 0.500 0.318
O7 O 0.376 0.000 0.557
O8 O 0.395 0.000 0.067
```


5.
A plane-wave DFT calculation with PBE+U was carried out for an optimized crystal structure of MgV2Co2O8.

ΔH_f (0 K) in eV per atom: -2.1010
Corrected total energy (MP2020 scheme) in eV per atom: -7.7601

Structure (CIF):
```
data_MgV2Co2O8
_symmetry_space_group_name_H-M 'P 1 m 1'
_symmetry_Int_Tables_number 6
_cell_length_a 5.130
_cell_length_b 6.352
_cell_length_c 5.323
_cell_angle_alpha 90.00
_cell_angle_beta 112.58
_cell_angle_gamma 90.00
loop_
_symmetry_equiv_pos_as_xyz
'x,y,z'
'x,-y,z'
loop_
_atom_site_label
_atom_site_type_symbol
_atom_site_fract_x
_atom_site_fract_y
_atom_site_fract_z
Mg1 Mg 0.000 0.000 0.000
V1 V 0.239 0.000 0.532
V2 V 0.928 0.500 0.794
Co1 Co 0.580 0.261 0.166
O1 O 0.297 0.500 0.940
O2 O 0.335 0.206 0.384
O3 O 0.339 0.000 0.900
O4 O 0.801 0.500 0.436
O5 O 0.807 0.275 0.907
O6 O 0.863 0.000 0.347
```


6.
A plane-wave DFT calculation with PBE+U was carried out for an optimized crystal structure of Ba6Na2Mn2Nb2O17.

ΔH_f (0 K) in eV per atom: -2.7395
Corrected total energy (MP2020 scheme) in eV per atom: -7.4568

Structure (CIF):
```
data_Ba6Na2Mn2Nb2O17
_symmetry_space_group_name_H-M 'P 63/m m c'
_symmetry_Int_Tables_number 194
_symmetry_space_group_name_Hall '-P 6c 2c'
_cell_length_a 5.9862
_cell_length_b 5.9862
_cell_length_c 30.4219
_cell_angle_alpha 90.00
_cell_angle_beta 90.00
_cell_angle_gamma 120.00
loop_
_atom_site_label
_atom_site_type_symbol
_atom_site_fract_x
_atom_site_fract_y
_atom_site_fract_z
Ba1 Ba 0.0000 0.0000 0.0000
Ba2 Ba 0.0000 0.0000 0.2500
Ba3 Ba 0.3333 0.6667 0.0901
Ba4 Ba 0.3333 0.6667 0.6809
Na1 Na 0.0000 0.0000 0.1247
Mn1 Mn 0.3333 0.6667 0.5520
Nb1 Nb 0.3333 0.6667 0.2014
O1 O 0.0270 0.5135 0.2500
O2 O 0.1744 0.3488 0.1695
O3 O 0.1777 0.3554 0.5724
O4 O 0.3333 0.6667 0.0039
```


7.
A plane-wave DFT calculation with PBE+U was carried out for an optimized crystal structure of CdFe2O4.

ΔH_f (0 K) in eV per atom: -1.3499
Corrected total energy (MP2020 scheme) in eV per atom: -6.7291

Structure (CIF):
```
data_CdFe2O4
_symmetry_space_group_name_H-M 'C 1 2/m 1'
_symmetry_Int_Tables_number 12
_cell_length_a 10.582
_cell_length_b 6.084
_cell_length_c 6.066
_cell_angle_alpha 90.00
_cell_angle_beta 124.29
_cell_angle_gamma 90.00
loop_
_symmetry_equiv_pos_as_xyz
'x,y,z'
'-x,-y,-z'
'-x,y,-z'
'x,-y,z'
'x+1/2,y+1/2,z'
'-x+1/2,-y+1/2,-z'
'-x+1/2,y+1/2,-z'
'x+1/2,-y+1/2,z'
loop_
_atom_site_label
_atom_site_type_symbol
_atom_site_fract_x
_atom_site_fract_y
_atom_site_fract_z
Cd1 Cd 0.124 0.000 0.377
Fe1 Fe 0.000 0.500 0.000
Fe2 Fe 0.000 0.500 0.500
Fe3 Fe 0.250 0.250 0.000
O1 O 0.021 0.288 0.769
O2 O 0.226 0.500 0.191
O3 O 0.242 0.500 0.789
```


8.
A plane-wave DFT calculation with PBE+U was carried out for an optimized crystal structure of Sr4La4Mn7CuO24.

ΔH_f (0 K) in eV per atom: -2.6823
Corrected total energy (MP2020 scheme) in eV per atom: -8.0194

Structure (CIF):
```
data_Sr4La4Mn7CuO24
_symmetry_space_group_name_H-M 'P -1'
_symmetry_Int_Tables_number 2
_cell_length_a 5.458
_cell_length_b 5.552
_cell_length_c 18.194
_cell_angle_alpha 97.42
_cell_angle_beta 90.03
_cell_angle_gamma 119.42
loop_
_symmetry_equiv_pos_as_xyz
'x,y,z'
'-x,-y,-z'
loop_
_atom_site_label
_atom_site_type_symbol
_atom_site_fract_x
_atom_site_fract_y
_atom_site_fract_z
Sr1 Sr 0.064 0.126 0.187
Sr2 Sr 0.185 0.375 0.561
La1 La 0.312 0.626 0.939
La2 La 0.443 0.878 0.315
Mn1 Mn 0.126 0.252 0.376
Mn2 Mn 0.248 0.498 0.750
Mn3 Mn 0.374 0.752 0.125
Mn4 Mn 0.500 0.000 0.500
Cu1 Cu 0.000 0.000 0.000
O1 O 0.062 0.129 0.689
O2 O 0.103 0.616 0.200
O3 O 0.119 0.654 0.680
O4 O 0.131 0.841 0.071
O5 O 0.167 0.894 0.557
O6 O 0.206 0.403 0.063
O7 O 0.315 0.628 0.434
O8 O 0.349 0.099 0.949
O9 O 0.354 0.135 0.426
O10 O 0.386 0.362 0.825
O11 O 0.415 0.405 0.303
O12 O 0.433 0.871 0.813
```